Record 1
Entry from the Materials Project database: an optimized crystal structure of Ba2Ti3O7 (PBE).

a b c (Å): 3.954 4.013 12.064
angles (deg): 89.83 89.64 89.96
Fractional coordinates of all 12 atoms:
Ba: 0.000 0.000 0.000
Ba: 0.005 0.003 0.643
Ti: 0.501 0.500 0.822
Ti: 0.507 0.516 0.149
Ti: 0.518 0.521 0.494
O: 0.486 0.970 0.160
O: 0.497 0.976 0.483
O: 0.498 0.496 0.988
O: 0.500 0.000 0.822
O: 0.503 0.499 0.656
O: 0.982 0.479 0.159
O: 0.993 0.484 0.484

Space group = P1
Total moment = 0.0389 μB per atom
Electronic total energy = -94.68 eV per cell
Crystal system = triclinic

Record 2
Entry from the Materials Project database: an optimized crystal structure of Ba4Ti3O10 (PBE).

a b c (Å): 4.064 4.064 29.565
angles (deg): 90.00 90.00 90.12
Fractional coordinates of all 34 atoms:
Ba: 0.003 0.997 0.933
Ba: 0.005 0.995 0.799
Ba: 0.495 0.505 0.299
Ba: 0.497 0.503 0.433
Ba: 0.503 0.497 0.567
Ba: 0.505 0.495 0.701
Ba: 0.995 0.005 0.201
Ba: 0.997 0.003 0.067
Ti: 0.000 0.000 0.500
Ti: 0.020 0.980 0.637
Ti: 0.480 0.520 0.137
Ti: 0.500 0.500 0.000
Ti: 0.520 0.480 0.863
Ti: 0.980 0.020 0.363
O: 0.000 0.500 0.000
O: 0.000 0.500 0.500
O: 0.003 0.997 0.432
O: 0.004 0.487 0.363
O: 0.005 0.995 0.296
O: 0.013 0.496 0.137
O: 0.487 0.004 0.637
O: 0.495 0.505 0.796
O: 0.496 0.013 0.863
O: 0.497 0.503 0.932
O: 0.500 0.000 0.000
O: 0.500 0.000 0.500
O: 0.503 0.497 0.068
O: 0.504 0.987 0.137
O: 0.505 0.495 0.204
O: 0.513 0.996 0.363
O: 0.987 0.504 0.863
O: 0.995 0.005 0.704
O: 0.996 0.513 0.637
O: 0.997 0.003 0.568

Energy above the lowest structure with this stoichiometry = 2 meV/atom
Space group = Cmce
Total moment = 0.0001 μB per atom
Crystal system = orthorhombic